# Na10Zn3Ge5P12O48

Crystalline Na10Zn3Ge5P12O48 at its relaxed geometry (PBE, the Materials Project).

Cell lengths 8.686, 15.017, 21.803 Å; angles 90.08, 90.04, 90.02 degrees
Positions (direct):
Na1 0.000 0.000 0.000
Na2 0.000 0.334 0.669
Na3 0.118 0.498 0.500
Na4 0.121 0.834 0.169
Na5 0.135 0.199 0.169
Na6 0.176 0.510 0.169
Na7 0.301 0.015 0.418
Na8 0.309 0.681 0.755
Na9 0.310 0.681 0.254
Na10 0.312 0.015 0.921
Na11 0.315 0.344 0.582
Na12 0.319 0.347 0.083
Na13 0.446 0.510 0.669
Na14 0.486 0.199 0.668
Na15 0.500 0.834 0.669
Na16 0.618 0.998 0.500
Na17 0.621 0.334 0.169
Na18 0.634 0.032 0.837
Na19 0.635 0.699 0.169
Na20 0.675 0.010 0.169
Na21 0.675 0.344 0.837
Na22 0.801 0.515 0.418
Na23 0.804 0.844 0.083
Na24 0.808 0.523 0.921
Na25 0.810 0.181 0.254
Na26 0.815 0.844 0.582
Na27 0.821 0.181 0.757
Na28 0.945 0.009 0.669
Na29 0.985 0.367 0.000
Na30 0.986 0.699 0.669
Zn1 0.303 0.015 0.561
Zn2 0.310 0.351 0.737
Zn3 0.311 0.347 0.239
Zn4 0.317 0.014 0.064
Zn5 0.804 0.515 0.561
Zn6 0.804 0.519 0.062
Zn7 0.810 0.843 0.739
Zn8 0.811 0.847 0.239
Zn9 0.816 0.181 0.899
Ge1 0.301 0.013 0.771
Ge2 0.309 0.681 0.898
Ge3 0.311 0.014 0.272
Ge4 0.311 0.682 0.396
Ge5 0.311 0.682 0.599
Ge6 0.312 0.681 0.099
Ge7 0.314 0.345 0.432
Ge8 0.314 0.348 0.935
Ge9 0.807 0.844 0.935
Ge10 0.808 0.182 0.098
Ge11 0.810 0.515 0.272
Ge12 0.811 0.182 0.396
Ge13 0.811 0.182 0.599
Ge14 0.814 0.845 0.432
Ge15 0.815 0.519 0.772
P1 0.019 0.351 0.832
P2 0.020 0.016 0.165
P3 0.023 0.686 0.497
P4 0.101 0.517 0.664
P5 0.106 0.183 0.999
P6 0.107 0.848 0.334
P7 0.162 0.200 0.333
P8 0.162 0.496 0.334
P9 0.162 0.822 0.998
P10 0.163 0.158 0.665
P11 0.168 0.869 0.665
P12 0.172 0.537 0.997
P13 0.449 0.200 0.832
P14 0.453 0.537 0.497
P15 0.453 0.868 0.166
P16 0.456 0.498 0.834
P17 0.457 0.159 0.166
P18 0.458 0.822 0.497
P19 0.513 0.846 0.833
P20 0.521 0.516 0.166
P21 0.523 0.186 0.497
P22 0.596 0.684 0.997
P23 0.600 0.016 0.665
P24 0.607 0.348 0.334
P25 0.657 0.327 0.998
P26 0.662 0.700 0.334
P27 0.662 0.996 0.334
P28 0.663 0.033 0.997
P29 0.664 0.658 0.665
P30 0.668 0.369 0.666
P31 0.953 0.037 0.497
P32 0.953 0.369 0.165
P33 0.958 0.322 0.497
P34 0.958 0.658 0.166
P35 0.960 0.701 0.834
P36 0.961 0.992 0.832
O1 0.003 0.205 0.059
O2 0.005 0.166 0.944
O3 0.008 0.499 0.606
O4 0.021 0.829 0.274
O5 0.107 0.337 0.773
O6 0.111 0.998 0.107
O7 0.120 0.703 0.559
O8 0.121 0.367 0.891
O9 0.124 0.027 0.501
O10 0.125 0.037 0.222
O11 0.126 0.355 0.173
O12 0.133 0.668 0.443
O13 0.137 0.689 0.844
O14 0.139 0.331 0.492
O15 0.141 0.666 0.160
O16 0.141 0.998 0.828
O17 0.176 0.252 0.274
O18 0.180 0.096 0.723
O19 0.185 0.765 0.058
O20 0.188 0.435 0.392
O21 0.188 0.926 0.609
O22 0.200 0.273 0.994
O23 0.203 0.597 0.942
O24 0.203 0.605 0.660
O25 0.206 0.101 0.007
O26 0.209 0.934 0.329
O27 0.210 0.437 0.671
O28 0.211 0.764 0.344
O29 0.227 0.253 0.672
O30 0.227 0.915 0.001
O31 0.233 0.461 0.275
O32 0.235 0.591 0.343
O33 0.237 0.777 0.942
O34 0.239 0.105 0.329
O35 0.241 0.120 0.609
O36 0.243 0.244 0.390
O37 0.246 0.576 0.058
O38 0.250 0.442 0.992
O39 0.250 0.773 0.660
O40 0.252 0.908 0.724
O41 0.367 0.444 0.492
O42 0.369 0.909 0.224
O43 0.370 0.575 0.557
O44 0.371 0.773 0.161
O45 0.373 0.245 0.889
O46 0.374 0.104 0.827
O47 0.379 0.121 0.110
O48 0.382 0.776 0.443
O49 0.385 0.591 0.844
O50 0.389 0.465 0.773
O51 0.391 0.916 0.501
O52 0.393 0.253 0.174
O53 0.408 0.764 0.843
O54 0.410 0.437 0.174
O55 0.417 0.597 0.442
O56 0.417 0.935 0.829
O57 0.418 0.604 0.161
O58 0.425 0.272 0.491
O59 0.426 0.102 0.502
O60 0.432 0.255 0.773
O61 0.433 0.925 0.110
O62 0.436 0.431 0.888
O63 0.437 0.766 0.558
O64 0.440 0.096 0.225
O65 0.477 0.333 0.993
O66 0.480 0.665 0.660
O67 0.482 0.004 0.329
O68 0.484 0.689 0.343
O69 0.489 0.670 0.942
O70 0.493 0.020 0.005
O71 0.494 0.354 0.672
O72 0.499 0.036 0.724
O73 0.499 0.366 0.390
O74 0.500 0.702 0.058
O75 0.507 0.999 0.608
O76 0.521 0.329 0.274
O77 0.597 0.828 0.774
O78 0.616 0.496 0.110
O79 0.620 0.203 0.559
O80 0.623 0.538 0.225
O81 0.623 0.868 0.889
O82 0.624 0.187 0.838
O83 0.624 0.527 0.501
O84 0.627 0.854 0.174
O85 0.633 0.168 0.443
O86 0.639 0.503 0.829
O87 0.639 0.831 0.492
O88 0.641 0.165 0.160
O89 0.676 0.752 0.274
O90 0.682 0.267 0.058
O91 0.682 0.596 0.724
O92 0.688 0.935 0.392
O93 0.690 0.427 0.610
O94 0.693 0.086 0.940
O95 0.694 0.772 0.991
O96 0.697 0.603 0.001
O97 0.703 0.105 0.661
O98 0.709 0.434 0.329
O99 0.709 0.936 0.672
O100 0.711 0.264 0.344
O101 0.728 0.753 0.673
O102 0.730 0.287 0.941
O103 0.732 0.418 0.005
O104 0.734 0.961 0.275
O105 0.735 0.091 0.343
O106 0.740 0.606 0.329
O107 0.741 0.620 0.610
O108 0.743 0.744 0.390
O109 0.748 0.408 0.726
O110 0.749 0.074 0.057
O111 0.750 0.273 0.661
O112 0.754 0.940 0.994
O113 0.867 0.944 0.492
O114 0.869 0.411 0.222
O115 0.870 0.075 0.557
O116 0.871 0.274 0.161
O117 0.877 0.745 0.890
O118 0.880 0.607 0.829
O119 0.882 0.276 0.443
O120 0.882 0.620 0.110
O121 0.888 0.954 0.774
O122 0.889 0.084 0.838
O123 0.891 0.416 0.501
O124 0.893 0.753 0.173
O125 0.908 0.272 0.838
O126 0.911 0.936 0.173
O127 0.913 0.438 0.828
O128 0.916 0.097 0.442
O129 0.918 0.104 0.160
O130 0.925 0.772 0.491
O131 0.926 0.602 0.502
O132 0.933 0.932 0.891
O133 0.934 0.424 0.107
O134 0.937 0.266 0.558
O135 0.939 0.596 0.224
O136 0.946 0.750 0.774
O137 0.979 0.165 0.660
O138 0.981 0.830 0.992
O139 0.982 0.504 0.329
O140 0.984 0.189 0.343
O141 0.994 0.853 0.672
O142 0.997 0.537 0.722
O143 0.999 0.524 0.001
O144 0.999 0.866 0.390

Results
Energy with MP2020 corrections: -6.82 eV/atom
Formation energy from the elements: -2.433 eV per atom
Space group: P1, No. 1